Density functional theory data (r²SCAN) for a relaxed Sm5Ir3 crystal.

a = 11.077 Å, b = 11.077 Å, c = 6.481 Å
α = 90.00°, β = 90.00°, γ = 90.00°
Positions (direct):
1 Sm 0.043 0.160 0.114
2 Sm 0.043 0.340 0.614
3 Sm 0.160 0.043 0.614
4 Sm 0.160 0.457 0.114
5 Sm 0.250 0.750 0.000
6 Sm 0.250 0.750 0.500
7 Sm 0.340 0.043 0.114
8 Sm 0.340 0.457 0.614
9 Sm 0.457 0.160 0.614
10 Sm 0.457 0.340 0.114
11 Sm 0.543 0.660 0.886
12 Sm 0.543 0.840 0.386
13 Sm 0.660 0.543 0.386
14 Sm 0.660 0.957 0.886
15 Sm 0.750 0.250 0.000
16 Sm 0.750 0.250 0.500
17 Sm 0.840 0.543 0.886
18 Sm 0.840 0.957 0.386
19 Sm 0.957 0.660 0.386
20 Sm 0.957 0.840 0.886
21 Ir 0.096 0.596 0.750
22 Ir 0.096 0.904 0.250
23 Ir 0.250 0.250 0.372
24 Ir 0.250 0.250 0.872
25 Ir 0.404 0.596 0.250
26 Ir 0.404 0.904 0.750
27 Ir 0.596 0.096 0.250
28 Ir 0.596 0.404 0.750
29 Ir 0.750 0.750 0.128
30 Ir 0.750 0.750 0.628
31 Ir 0.904 0.096 0.750
32 Ir 0.904 0.404 0.250

Calculated values
Its final energy is -39.005 eV per atom. Its calculated volume is 795 Å³/cell. The formation enthalpy at 0 K is -0.7873 eV/atom.